r²SCAN LaPrAl4, optimized geometry; total magnetic moment = 0.00 μB per formula unit; calculated total energy = -89.307 eV for the cell shown; ΔE_f = -0.538 eV/atom; theoretical density = 4.85 g cm⁻³
1.0
0.000 4.050 4.050
4.050 0.000 4.050
4.050 4.050 0.000
La Pr Al
1 1 4
direct
0.000 0.000 0.000 La
0.750 0.750 0.750 Pr
0.375 0.375 0.375 Al
0.375 0.375 0.875 Al
0.375 0.875 0.375 Al
0.875 0.375 0.375 Al

=====

r²SCAN V3Mo, optimized geometry; total magnetic moment = 0.00 μB per formula unit; calculated total energy = -68.575 eV for the cell shown; ΔE_f = -0.059 eV/atom; theoretical density = 7.47 g cm⁻³
1.0
0.000 3.024 3.024
3.024 0.000 3.024
3.024 3.024 0.000
V Mo
3 1
direct
0.000 0.000 0.000 V
0.250 0.250 0.250 V
0.750 0.750 0.750 V
0.500 0.500 0.500 Mo

=====

r²SCAN CsV5Se8, optimized geometry; total magnetic moment = 10.00 μB per formula unit; calculated total energy = -225.007 eV for the cell shown; ΔE_f = -1.068 eV/atom; theoretical density = 5.44 g cm⁻³
1.0
3.690 0.000 0.000
-0.005 9.270 0.000
-1.825 -2.195 9.101
Cs V Se
1 5 8
direct
0.000 0.000 0.000 Cs
0.155 0.496 0.305 V
0.207 0.837 0.413 V
0.500 0.500 0.000 V
0.793 0.163 0.587 V
0.845 0.504 0.695 V
0.071 0.668 0.142 Se
0.260 0.348 0.521 Se
0.331 0.010 0.664 Se
0.409 0.667 0.820 Se
0.591 0.333 0.180 Se
0.669 0.990 0.336 Se
0.740 0.652 0.479 Se
0.929 0.332 0.858 Se

=====

r²SCAN TbZn, optimized geometry; total magnetic moment = 0.00 μB per formula unit; calculated total energy = -40.907 eV for the cell shown; ΔE_f = -0.385 eV/atom; theoretical density = 8.24 g cm⁻³
1.0
3.563 0.000 0.000
0.000 3.563 0.000
0.000 0.000 3.563
Tb Zn
1 1
direct
0.000 0.000 0.000 Tb
0.500 0.500 0.500 Zn

=====

r²SCAN SrSi6Pd6, optimized geometry; total magnetic moment = 0.00 μB per formula unit; calculated total energy = -427.268 eV for the cell shown; ΔE_f = -0.622 eV/atom; theoretical density = 7.29 g cm⁻³
1.0
-4.022 4.158 6.095
4.022 -4.158 6.095
4.022 4.158 -6.095
Sr Si Pd
2 12 12
direct
0.250 0.250 0.000 Sr
0.750 0.750 0.000 Sr
0.040 0.219 0.494 Si
0.226 0.719 0.179 Si
0.235 0.065 0.300 Si
0.265 0.565 0.829 Si
0.274 0.453 0.494 Si
0.460 0.953 0.179 Si
0.540 0.047 0.821 Si
0.726 0.547 0.506 Si
0.735 0.435 0.171 Si
0.765 0.935 0.700 Si
0.774 0.281 0.821 Si
0.960 0.781 0.506 Si
0.033 0.818 0.851 Pd
0.039 0.543 0.221 Pd
0.178 0.957 0.496 Pd
0.322 0.818 0.779 Pd
0.461 0.682 0.504 Pd
0.467 0.318 0.786 Pd
0.533 0.682 0.214 Pd
0.539 0.318 0.496 Pd
0.678 0.182 0.221 Pd
0.822 0.043 0.504 Pd
0.961 0.457 0.779 Pd
0.967 0.182 0.149 Pd

=====

r²SCAN LiYbP4O12, optimized geometry; total magnetic moment = 0.00 μB per formula unit; calculated total energy = -390.585 eV for the cell shown; ΔE_f = -2.705 eV/atom; theoretical density = 3.84 g cm⁻³
1.0
8.042 -3.490 0.000
8.042 3.490 0.000
-5.533 0.000 7.649
Li Yb P O
2 2 8 24
direct
0.207 0.793 0.750 Li
0.793 0.207 0.250 Li
0.297 0.703 0.250 Yb
0.703 0.297 0.750 Yb
0.085 0.188 0.616 P
0.188 0.085 0.116 P
0.208 0.503 0.807 P
0.497 0.792 0.693 P
0.503 0.208 0.307 P
0.792 0.497 0.193 P
0.812 0.915 0.884 P
0.915 0.812 0.384 P
0.027 0.283 0.234 O
0.062 0.067 0.427 O
0.067 0.062 0.927 O
0.104 0.673 0.315 O
0.169 0.322 0.651 O
0.256 0.491 0.979 O
0.283 0.027 0.734 O
0.322 0.169 0.151 O
0.327 0.896 0.185 O
0.353 0.510 0.778 O
0.490 0.647 0.722 O
0.491 0.256 0.479 O
0.509 0.744 0.521 O
0.510 0.353 0.278 O
0.647 0.490 0.222 O
0.673 0.104 0.815 O
0.678 0.831 0.849 O
0.717 0.973 0.266 O
0.744 0.509 0.021 O
0.831 0.678 0.349 O
0.896 0.327 0.685 O
0.933 0.938 0.073 O
0.938 0.933 0.573 O
0.973 0.717 0.766 O

=====

r²SCAN ReSeCl, optimized geometry; total magnetic moment = 0.00 μB per formula unit; calculated total energy = -897.778 eV for the cell shown; ΔE_f = -0.647 eV/atom; theoretical density = 6.24 g cm⁻³
1.0
5.767 -7.353 0.000
5.767 7.353 0.000
0.000 0.000 11.317
Re Se Cl
12 12 12
direct
0.103 0.610 0.678 Re
0.121 0.879 0.750 Re
0.177 0.684 0.897 Re
0.316 0.823 0.603 Re
0.372 0.628 0.750 Re
0.390 0.897 0.822 Re
0.610 0.103 0.322 Re
0.628 0.372 0.250 Re
0.684 0.177 0.103 Re
0.823 0.316 0.397 Re
0.879 0.121 0.250 Re
0.897 0.390 0.178 Re
0.057 0.800 0.539 Se
0.081 0.333 0.324 Se
0.200 0.943 0.961 Se
0.295 0.560 0.539 Se
0.333 0.081 0.676 Se
0.440 0.705 0.961 Se
0.560 0.295 0.461 Se
0.667 0.919 0.176 Se
0.705 0.440 0.039 Se
0.800 0.057 0.461 Se
0.919 0.667 0.824 Se
0.943 0.200 0.039 Se
0.041 0.959 0.250 Cl
0.099 0.591 0.100 Cl
0.168 0.429 0.821 Cl
0.409 0.901 0.400 Cl
0.429 0.168 0.179 Cl
0.468 0.532 0.250 Cl
0.532 0.468 0.750 Cl
0.571 0.832 0.679 Cl
0.591 0.099 0.900 Cl
0.832 0.571 0.321 Cl
0.901 0.409 0.600 Cl
0.959 0.041 0.750 Cl

=====

r²SCAN GaCuGeSe4, optimized geometry; total magnetic moment = 0.00 μB per formula unit; calculated total energy = -96.689 eV for the cell shown; ΔE_f = -0.469 eV/atom; theoretical density = 5.29 g cm⁻³
1.0
-2.753 2.753 5.405
2.753 -2.753 5.405
2.753 2.753 -5.405
Ga Cu Ge Se
1 1 1 4
direct
0.000 0.000 0.000 Ga
0.750 0.250 0.500 Cu
0.250 0.750 0.500 Ge
0.147 0.143 0.529 Se
0.382 0.853 0.996 Se
0.614 0.618 0.471 Se
0.857 0.386 0.004 Se

=====

r²SCAN YAgS2, optimized geometry; total magnetic moment = 0.00 μB per formula unit; calculated total energy = -511.353 eV for the cell shown; ΔE_f = -1.545 eV/atom; theoretical density = 4.76 g cm⁻³
1.0
7.636 0.000 0.000
0.000 7.634 0.000
-0.003 0.000 12.494
Y Ag S
8 8 16
direct
0.000 0.000 0.247 Y
0.000 0.500 0.753 Y
0.249 0.750 0.497 Y
0.251 0.249 0.998 Y
0.500 0.499 0.253 Y
0.500 0.999 0.747 Y
0.749 0.749 0.002 Y
0.751 0.250 0.503 Y
0.005 0.012 0.687 Ag
0.232 0.762 0.938 Ag
0.267 0.239 0.438 Ag
0.497 0.990 0.186 Ag
0.503 0.490 0.814 Ag
0.733 0.739 0.562 Ag
0.768 0.262 0.062 Ag
0.995 0.512 0.313 Ag
0.021 0.521 0.973 S
0.025 0.025 0.467 S
0.224 0.775 0.718 S
0.229 0.728 0.277 S
0.270 0.270 0.777 S
0.276 0.223 0.218 S
0.475 0.974 0.967 S
0.479 0.478 0.473 S
0.521 0.978 0.527 S
0.525 0.474 0.033 S
0.724 0.723 0.782 S
0.730 0.770 0.223 S
0.771 0.228 0.723 S
0.776 0.275 0.282 S
0.975 0.525 0.533 S
0.979 0.021 0.027 S